1.
Na3NiBAsO7 | the Materials Project database | GGA+U | relaxed; formation energy from the elements = -1.915 eV per atom
1.0
6.9577 0.0000 0.0000
0.0000 5.2161 0.0000
0.0000 0.3202 8.9920
O As Na Ni B
14 2 6 2 2
Direct
0.2500 0.0345 0.8658
0.7500 0.6998 0.9200
0.7500 0.1311 0.4137
0.7500 0.6102 0.5307
0.4416 0.7830 0.3075
0.5584 0.2170 0.6925
0.2500 0.3898 0.4693
0.2500 0.8689 0.5863
0.7500 0.9655 0.1342
0.2500 0.4688 0.8261
0.2500 0.3002 0.0800
0.7500 0.5312 0.1739
0.9416 0.2170 0.6925
0.0584 0.7830 0.3075
0.7500 0.2851 0.5781
0.2500 0.7149 0.4219
0.2500 0.7624 0.0806
0.7500 0.2376 0.9194
0.5033 0.7488 0.7457
0.4967 0.2512 0.2543
0.0033 0.2512 0.2543
0.9967 0.7488 0.7457
0.7500 0.7864 0.3328
0.2500 0.2136 0.6672
0.7500 0.7300 0.0675
0.2500 0.2700 0.9325

=====

2.
Ba2AlCo2F11 | the Materials Project database | GGA+U | relaxed; formation energy from the elements = -3.406 eV per atom
1.0
3.7103 -6.4264 0.0000
3.7103 6.4264 0.0000
0.0000 0.0000 14.3468
F Ba Co Al
33 6 6 3
Direct
0.8645 0.9097 0.1798
0.5983 0.0050 0.0863
0.2461 0.2473 0.6881
0.1356 0.7212 0.2115
0.0534 0.7536 0.5203
0.3601 0.1507 0.0209
0.4538 0.6744 0.2459
0.5306 0.1611 0.2602
0.7002 0.9466 0.8536
0.6050 0.6832 0.9858
0.3168 0.9218 0.6524
0.9112 0.3277 0.1603
0.2464 0.2998 0.1870
0.8493 0.2094 0.6875
0.7527 0.9988 0.3548
0.3208 0.7420 0.4189
0.9950 0.5934 0.7529
0.8389 0.3694 0.9268
0.5856 0.8644 0.5448
0.7906 0.6399 0.3542
0.0782 0.3950 0.3191
0.0012 0.7539 0.0214
0.3256 0.7793 0.9126
0.4212 0.6792 0.7523
0.0903 0.9547 0.8464
0.6723 0.5835 0.8269
0.2788 0.4144 0.8782
0.4165 0.0888 0.4936
0.4066 0.4017 0.4196
0.2207 0.5462 0.5793
0.6306 0.4694 0.5935
0.0453 0.1355 0.5131
0.2580 0.5788 0.0856
0.1419 0.0130 0.3335
0.5092 0.1656 0.8001
0.8344 0.3436 0.4667
0.9870 0.1289 0.0002
0.8711 0.8581 0.6669
0.6564 0.4908 0.1334
0.1342 0.4365 0.7206
0.9789 0.6617 0.8857
0.3022 0.8658 0.0539
0.5635 0.6978 0.3873
0.6828 0.0211 0.2190
0.3383 0.3172 0.5524
0.5008 0.6764 0.8735
0.3236 0.8244 0.5402
0.1756 0.4992 0.2069

=====

3.
K3CoC6O14 | the Materials Project database | GGA+U | relaxed; E above lowest polymorph = 0.000 eV/atom; formation energy from the elements = -1.439 eV per atom
1.0
-11.3970 -0.4225 -0.6699
6.3824 -5.6750 -7.5880
-0.1067 -16.2543 12.0669
O C K Co
84 36 18 6
Direct
0.6648 0.8455 0.4536
0.6475 0.2808 0.2791
0.1172 0.2363 0.2888
0.0203 0.1950 0.7978
0.5769 0.9816 0.0350
0.8009 0.4073 0.4362
0.3891 0.0220 0.1811
0.5673 0.1859 0.5542
0.3671 0.9780 0.4856
0.2168 0.4034 0.6544
0.3352 0.1807 0.8797
0.1866 0.7832 0.3211
0.1950 0.0203 0.2022
0.3827 0.3908 0.1649
0.6470 0.6591 0.2799
0.5966 0.8134 0.9877
0.4231 0.4047 0.2983
0.0184 0.5953 0.3684
0.9918 0.6092 0.5018
0.3525 0.6333 0.0542
0.2808 0.6475 0.7209
0.0000 0.6791 0.6667
0.1991 0.6064 0.8972
0.1476 0.9955 0.6029
0.4047 0.4231 0.7017
0.0121 0.3530 0.9466
0.6333 0.3525 0.9458
0.3209 0.3209 0.0000
0.6064 0.1991 0.1028
0.9780 0.3671 0.5144
0.9816 0.5769 0.9650
0.1804 0.5358 0.2030
0.6446 0.4642 0.4637
0.3409 0.9879 0.6133
0.3908 0.3827 0.8351
0.4073 0.8009 0.5638
0.1859 0.5673 0.4458
0.8253 0.8050 0.8689
0.6735 0.0000 0.8333
0.4327 0.6187 0.7791
0.6591 0.6470 0.7201
0.8141 0.3813 0.8875
0.7192 0.3667 0.6125
0.9955 0.1476 0.3971
0.3667 0.7192 0.3875
0.0082 0.6173 0.8316
0.7832 0.1866 0.6789
0.8134 0.5966 0.0123
0.6173 0.0082 0.1684
0.7637 0.8809 0.6222
0.1191 0.8828 0.9555
0.6187 0.4327 0.2209
0.3530 0.0121 0.0534
0.8828 0.1191 0.0445
0.5358 0.1804 0.7970
0.3265 0.3265 0.5000
0.2363 0.1172 0.7112
0.4642 0.6446 0.5363
0.3554 0.8196 0.8696
0.8455 0.6648 0.5464
0.5927 0.3936 0.7695
0.9797 0.1747 0.5356
0.8196 0.3554 0.1304
0.8479 0.8524 0.2695
0.3813 0.8141 0.1125
0.0045 0.1521 0.9362
0.6791 0.0000 0.3333
0.4034 0.2168 0.3456
0.8809 0.7637 0.3778
0.6092 0.9918 0.4982
0.1545 0.8193 0.7869
0.0000 0.6735 0.1667
0.6329 0.6109 0.8478
0.5953 0.0184 0.6316
0.3936 0.5927 0.2305
0.1747 0.9797 0.4644
0.9879 0.3409 0.3867
0.6109 0.6329 0.1522
0.1807 0.3352 0.1203
0.8050 0.8253 0.1311
0.0220 0.3891 0.8189
0.1521 0.0045 0.0638
0.8193 0.1545 0.2131
0.8524 0.8479 0.7305
0.6862 0.1449 0.6405
0.4813 0.7607 0.5337
0.2393 0.7207 0.8670
0.1272 0.7231 0.8244
0.2439 0.6591 0.4003
0.4587 0.3138 0.3072
0.4040 0.2769 0.8423
0.4152 0.7561 0.0670
0.2769 0.4040 0.1577
0.7550 0.7444 0.7537
0.7224 0.7403 0.1696
0.6591 0.2439 0.5997
0.5187 0.2793 0.7997
0.2793 0.5187 0.2003
0.7561 0.4152 0.9330
0.5960 0.8728 0.4910
0.7231 0.1272 0.1756
0.8728 0.5960 0.5090
0.9821 0.2597 0.4971
0.3409 0.5848 0.7336
0.2597 0.9821 0.5029
0.2776 0.0179 0.1637
0.7207 0.2393 0.1330
0.7444 0.7550 0.2463
0.9894 0.2450 0.4203
0.3138 0.4587 0.6928
0.8551 0.5413 0.9739
0.2556 0.0106 0.0870
0.5848 0.3409 0.2664
0.5413 0.8551 0.0261
0.1449 0.6862 0.3595
0.0106 0.2556 0.9130
0.0179 0.2776 0.8363
0.7607 0.4813 0.4663
0.7403 0.7224 0.8304
0.2450 0.9894 0.5797
0.9258 0.4172 0.2614
0.0793 0.0000 0.8333
0.5867 0.1613 0.4060
0.8721 0.8721 0.0000
0.0000 0.1279 0.6667
0.5828 0.5086 0.5947
0.4914 0.0742 0.9281
0.4133 0.5745 0.9273
0.4172 0.9258 0.7386
0.1279 0.0000 0.3333
0.5086 0.5828 0.4053
0.4255 0.8387 0.2606
0.5745 0.4133 0.0727
0.9207 0.9207 0.5000
0.8387 0.4255 0.7394
0.0742 0.4914 0.0719
0.1613 0.5867 0.5940
0.0000 0.0793 0.1667
0.5125 0.5196 0.2247
0.9930 0.4804 0.4419
0.0070 0.4875 0.8914
0.5196 0.5125 0.7753
0.4875 0.0070 0.1086
0.4804 0.9930 0.5581

=====

4.
Li2VOF4 | the Materials Project database | GGA+U | relaxed; E above lowest polymorph = 0.005 eV/atom; formation energy from the elements = -3.027 eV per atom
1.0
0.0002 0.0113 3.6937
0.0020 10.2238 0.0318
-4.9977 -0.0066 -1.8469
F V Li O
8 2 4 2
Direct
0.0563 0.8908 0.1079
0.6877 0.4521 0.3897
0.9497 0.1239 0.9217
0.7655 0.7375 0.5449
0.2231 0.2376 0.4554
0.9435 0.3908 0.8917
0.2975 0.9520 0.6092
0.0236 0.6241 0.0786
0.1774 0.0592 0.2767
0.8978 0.5593 0.7237
0.8163 0.2484 0.6350
0.8584 0.9195 0.7290
0.1286 0.4198 0.2710
0.1783 0.7484 0.3653
0.3383 0.5683 0.6830
0.6579 0.0684 0.3173

=====

What corrected total energy (MP2020 scheme) values result from the calculations? In sequence: -161.25; -292.08; -1017.66; -99.45 eV for the cell shown.
What total DFT energy (no corrections) values result from the calculations? In sequence: -146.55; -267.00; -950.13; -90.98 eV/cell.